Computed, not measured: crystalline NpNi5 at its relaxed geometry at the PBE level of DFT.

a = 4.8291 Å, b = 4.8291 Å, c = 3.9469 Å
α = 90.00°, β = 90.00°, γ = 120.00°
Closest atoms and distances in Å follow each position.
Fractional coordinates of all 6 atoms:
Np 0.0000 0.0000 0.0000  18 Ni 2.79-3.12
Ni 0.0000 0.5000 0.5000  8 Ni 2.41-2.42
Ni 0.3333 0.6667 0.0000  6 Ni 2.42
Ni 0.5000 0.0000 0.5000  8 Ni 2.41-2.42
Ni 0.5000 0.5000 0.5000  8 Ni 2.41-2.42
Ni 0.6667 0.3333 0.0000  6 Ni 2.42

Summary:
- Space group: P6/mmm (191)
- ΔE_f: -0.128 eV per atom

Computed, not measured: crystalline TaP2Se2Cl5 at its relaxed geometry at the PBE level of DFT.

a = 6.9121 Å, b = 14.0592 Å, c = 27.9796 Å
α = 90.00°, β = 100.32°, γ = 90.00°
Closest atoms and distances in Å follow each position.
Fractional coordinates of all 80 atoms:
Ta 0.0326 0.1105 0.2009  5 Cl 2.28-2.35
Ta 0.0326 0.3895 0.7009  5 Cl 2.28-2.35
Ta 0.2567 0.2098 0.9716  5 Cl 2.28-2.36
Ta 0.2567 0.2902 0.4716  5 Cl 2.28-2.36
Ta 0.7433 0.7098 0.5284  5 Cl 2.28-2.36
Ta 0.7433 0.7902 0.0284  5 Cl 2.28-2.36
Ta 0.9674 0.6105 0.2991  5 Cl 2.28-2.35
Ta 0.9674 0.8895 0.7991  5 Cl 2.28-2.35
P 0.0823 0.0782 0.3573  1 Se 2.22, 2 P 2.26
P 0.0823 0.4218 0.8573  1 Se 2.22, 2 P 2.26
P 0.2477 0.0907 0.2948  1 P 2.26, 2 Se 2.27-2.29
P 0.2477 0.4093 0.7948  1 P 2.26, 2 Se 2.27-2.29
P 0.3338 0.1613 0.4008  1 P 2.26, 2 Se 2.27-2.29
P 0.3338 0.3387 0.9008  1 P 2.26, 2 Se 2.27-2.29
P 0.4714 0.5761 0.8819  3 Se 2.29-2.31
P 0.4714 0.9239 0.3819  3 Se 2.29-2.31
P 0.5286 0.0761 0.6181  3 Se 2.29-2.31
P 0.5286 0.4239 0.1181  3 Se 2.29-2.31
P 0.6662 0.6613 0.0992  1 P 2.26, 2 Se 2.27-2.29
P 0.6662 0.8387 0.5992  1 P 2.26, 2 Se 2.27-2.29
P 0.7523 0.5907 0.2052  1 P 2.26, 2 Se 2.27-2.29
P 0.7523 0.9093 0.7052  1 P 2.26, 2 Se 2.27-2.29
P 0.9177 0.5782 0.1427  1 Se 2.22, 2 P 2.26
P 0.9177 0.9218 0.6427  1 Se 2.22, 2 P 2.26
Se 0.1382 0.5706 0.8829  2 P 2.22-2.31
Se 0.1382 0.9294 0.3829  2 P 2.22-2.31
Se 0.3856 0.2282 0.3295  2 P 2.29
Se 0.3856 0.2718 0.8295  2 P 2.29
Se 0.4295 0.5532 0.0702  2 P 2.27-2.29
Se 0.4295 0.9468 0.5702  2 P 2.27-2.29
Se 0.4674 0.5306 0.8032  2 P 2.27-2.29
Se 0.4674 0.9694 0.3032  2 P 2.27-2.29
Se 0.5326 0.0306 0.6968  2 P 2.27-2.29
Se 0.5326 0.4694 0.1968  2 P 2.27-2.29
Se 0.5705 0.0532 0.4298  2 P 2.27-2.29
Se 0.5705 0.4468 0.9298  2 P 2.27-2.29
Se 0.6144 0.7282 0.1705  2 P 2.29
Se 0.6144 0.7718 0.6705  2 P 2.29
Se 0.8618 0.0706 0.6171  2 P 2.22-2.31
Se 0.8618 0.4294 0.1171  2 P 2.22-2.31
Cl 0.0321 0.6903 0.5852  1 Ta 2.33
Cl 0.0321 0.8097 0.0852  1 Ta 2.33
Cl 0.1067 0.0281 0.7741  1 Ta 2.34
Cl 0.1067 0.4719 0.2741  1 Ta 2.34
Cl 0.1246 0.1486 0.4973  1 Ta 2.36
Cl 0.1246 0.3514 0.9973  1 Ta 2.36
Cl 0.1583 0.6309 0.3739  1 Ta 2.28
Cl 0.1583 0.8691 0.8739  1 Ta 2.28
Cl 0.1610 0.7006 0.2553  1 Ta 2.34
Cl 0.1610 0.7994 0.7553  1 Ta 2.34
Cl 0.1862 0.1087 0.0297  1 Ta 2.28
Cl 0.1862 0.3913 0.5297  1 Ta 2.28
Cl 0.2416 0.2429 0.2018  1 Ta 2.35
Cl 0.2416 0.2571 0.7018  1 Ta 2.35
Cl 0.2817 0.0177 0.1781  1 Ta 2.34
Cl 0.2817 0.4823 0.6781  1 Ta 2.34
Cl 0.4151 0.1050 0.9266  1 Ta 2.33
Cl 0.4151 0.3950 0.4266  1 Ta 2.33
Cl 0.4325 0.7402 0.9880  1 Ta 2.35
Cl 0.4325 0.7598 0.4880  1 Ta 2.35
Cl 0.5675 0.2402 0.5120  1 Ta 2.35
Cl 0.5675 0.2598 0.0120  1 Ta 2.35
Cl 0.5849 0.6050 0.5734  1 Ta 2.33
Cl 0.5849 0.8950 0.0734  1 Ta 2.33
Cl 0.7183 0.5177 0.3219  1 Ta 2.34
Cl 0.7183 0.9823 0.8219  1 Ta 2.34
Cl 0.7584 0.7429 0.2982  1 Ta 2.35
Cl 0.7584 0.7571 0.7982  1 Ta 2.35
Cl 0.8138 0.6087 0.4703  1 Ta 2.28
Cl 0.8138 0.8913 0.9703  1 Ta 2.28
Cl 0.8390 0.2006 0.2447  1 Ta 2.34
Cl 0.8390 0.2994 0.7447  1 Ta 2.34
Cl 0.8417 0.1309 0.1261  1 Ta 2.28
Cl 0.8417 0.3691 0.6261  1 Ta 2.28
Cl 0.8754 0.6486 0.0027  1 Ta 2.36
Cl 0.8754 0.8514 0.5027  1 Ta 2.36
Cl 0.8933 0.5281 0.7259  1 Ta 2.34
Cl 0.8933 0.9719 0.2259  1 Ta 2.34
Cl 0.9679 0.1903 0.9148  1 Ta 2.33
Cl 0.9679 0.3097 0.4148  1 Ta 2.33

Summary:
- Magnetization: 0.000 μB per atom
- Space group: P2_1/c (14)
- ΔE_f: -1.152 eV per atom

Computed, not measured: crystalline La3SiN3O2 at its relaxed geometry at the PBE level of DFT.

a = 7.3571 Å, b = 6.8271 Å, c = 7.4129 Å
α = 62.05°, β = 55.06°, γ = 62.88°
Closest atoms and distances in Å follow each position.
Fractional coordinates of all 18 atoms:
La 0.0000 0.0000 0.0000  4 O 2.48-2.52, 4 N 2.71
La 0.3463 0.3463 0.6537  2 N 2.42, 2 O 2.61
La 0.4252 0.4252 0.0748  6 N 2.79-2.89, 4 O 2.80-2.90
La 0.4878 0.8468 0.5122  2 N 2.43, 2 O 2.48-2.50
La 0.8468 0.4878 0.1532  2 N 2.43, 2 O 2.48-2.50
La 0.9252 0.9252 0.5748  6 N 2.79-2.89, 4 O 2.80-2.90
Si 0.4131 0.9176 0.0824  3 N 1.74, 1 O 1.75
Si 0.9176 0.4131 0.5869  3 N 1.74, 1 O 1.75
N 0.1582 0.1793 0.5390  1 Si 1.74
N 0.1793 0.1582 0.1234  1 Si 1.74
N 0.3769 0.6786 0.3214  1 Si 1.74
N 0.4610 0.8766 0.8418  1 Si 1.74
N 0.6786 0.3769 0.6231  1 Si 1.74
N 0.8766 0.4610 0.8207  1 Si 1.74
O 0.1605 0.6766 0.8395  4 La 2.48-2.61
O 0.6532 0.9595 0.0405  1 Si 1.75
O 0.6766 0.1605 0.3234  4 La 2.48-2.61
O 0.9595 0.6532 0.3468  1 Si 1.75

Summary:
- Magnetization: 0.000 μB per atom
- Space group: Fmm2 (42)
- ΔE_f: -2.244 eV per atom

Computed, not measured: crystalline DyUAl4 at its relaxed geometry at the PBE level of DFT.

a = 5.5429 Å, b = 5.5429 Å, c = 5.5429 Å
α = 60.00°, β = 60.00°, γ = 60.00°
Closest atoms and distances in Å follow each position.
Fractional coordinates of all 6 atoms:
Dy 0.0000 0.0000 0.0000  12 Al 3.25, 4 U 3.39
U 0.7500 0.7500 0.7500  12 Al 3.25, 4 Dy 3.39
Al 0.3756 0.3756 0.3756  6 Al 2.76-2.79
Al 0.3756 0.3756 0.8732  6 Al 2.76-2.79
Al 0.3756 0.8732 0.3756  6 Al 2.76-2.79
Al 0.8732 0.3756 0.3756  6 Al 2.76-2.79

Summary:
- Magnetization: 0.439 μB per atom
- Space group: F-43m (216)
- ΔE_f: -0.244 eV per atom

Computed, not measured: crystalline Zr4Cr at its relaxed geometry at the PBE level of DFT.

a = 6.8960 Å, b = 6.8960 Å, c = 6.8960 Å
α = 60.00°, β = 60.00°, γ = 60.00°
Closest atoms and distances in Å follow each position.
Fractional coordinates of all 10 atoms:
Zr 0.2015 0.7662 0.7662  1 Cr 2.38
Zr 0.2338 0.2338 0.2338  1 Cr 2.38
Zr 0.2338 0.2338 0.7985  1 Cr 2.38
Zr 0.2338 0.7985 0.2338  1 Cr 2.38
Zr 0.7662 0.2015 0.7662  1 Cr 2.38
Zr 0.7662 0.7662 0.2015  1 Cr 2.38
Zr 0.7662 0.7662 0.7662  1 Cr 2.38
Zr 0.7985 0.2338 0.2338  1 Cr 2.38
Cr 0.3750 0.3750 0.3750  4 Zr 2.38
Cr 0.6250 0.6250 0.6250  4 Zr 2.38

Summary:
- Magnetization: 0.187 μB per atom
- Space group: Fd-3m (227)
- ΔE_f: 0.829 eV per atom

Computed, not measured: crystalline K4Bi at its relaxed geometry at the PBE level of DFT.

a = 10.1588 Å, b = 10.1588 Å, c = 10.1588 Å
α = 60.00°, β = 60.00°, γ = 60.00°
Closest atoms and distances in Å follow each position.
Fractional coordinates of all 10 atoms:
K 0.2257 0.7581 0.7581  1 Bi 3.31
K 0.2419 0.2419 0.2419  1 Bi 3.31
K 0.2419 0.2419 0.7743  1 Bi 3.31
K 0.2419 0.7743 0.2419  1 Bi 3.31
K 0.7581 0.2257 0.7581  1 Bi 3.31
K 0.7581 0.7581 0.2257  1 Bi 3.31
K 0.7581 0.7581 0.7581  1 Bi 3.31
K 0.7743 0.2419 0.2419  1 Bi 3.31
Bi 0.3750 0.3750 0.3750  4 K 3.31
Bi 0.6250 0.6250 0.6250  4 K 3.31

Summary:
- Magnetization: 0.036 μB per atom
- Space group: Fd-3m (227)
- ΔE_f: 0.041 eV per atom

Computed, not measured: crystalline YAl6Fe6 at its relaxed geometry at the PBE level of DFT.

a = 6.5586 Å, b = 6.5586 Å, c = 6.5586 Å
α = 135.08°, β = 99.23°, γ = 97.56°
Closest atoms and distances in Å follow each position.
Fractional coordinates of all 13 atoms:
Y 0.0000 0.0000 0.0000  8 Al 2.87-3.01
Al 0.1921 0.6921 0.5000  6 Fe 2.52-2.63
Al 0.3373 0.0000 0.3373  6 Fe 2.61-2.64, 1 Al 2.77, 1 Y 2.87
Al 0.3463 0.3463 0.0000  6 Fe 2.58-2.60, 3 Al 2.66-2.84
Al 0.6537 0.6537 0.0000  6 Fe 2.58-2.60, 3 Al 2.66-2.84
Al 0.6627 0.0000 0.6627  6 Fe 2.61-2.64, 1 Al 2.77, 1 Y 2.87
Al 0.8079 0.3079 0.5000  6 Fe 2.52-2.63
Fe 0.0000 0.0000 0.5000  4 Fe 2.50-2.51, 6 Al 2.52-2.61
Fe 0.0000 0.5000 0.0000  4 Fe 2.50-2.51, 6 Al 2.52-2.61
Fe 0.2402 0.5000 0.7402  4 Fe 2.50, 6 Al 2.58-2.64
Fe 0.5000 0.0000 0.0000  4 Fe 2.50-2.51, 6 Al 2.52-2.61
Fe 0.5000 0.5000 0.5000  4 Fe 2.50-2.51, 6 Al 2.52-2.61
Fe 0.7598 0.5000 0.2598  4 Fe 2.50, 6 Al 2.58-2.64

Summary:
- Space group: Immm (71)
- ΔE_f: -0.389 eV per atom

Computed, not measured: crystalline TmBrO at its relaxed geometry at the PBE level of DFT.

a = 3.8009 Å, b = 3.8009 Å, c = 8.6089 Å
α = 90.00°, β = 90.00°, γ = 90.00°
Closest atoms and distances in Å follow each position.
Fractional coordinates of all 6 atoms:
Tm 0.2500 0.2500 0.1292  4 O 2.20
Tm 0.7500 0.7500 0.8708  4 O 2.20
Br 0.2500 0.2500 0.6756  4 Tm 3.17, 4 O 3.38
Br 0.7500 0.7500 0.3244  4 Tm 3.17, 4 O 3.38
O 0.2500 0.7500 0.0000  4 Tm 2.20
O 0.7500 0.2500 0.0000  4 Tm 2.20

Summary:
- Space group: P4/nmm (129)
- ΔE_f: -3.185 eV per atom

Computed, not measured: crystalline BiSbO5 at its relaxed geometry at the PBE level of DFT.

a = 5.8623 Å, b = 10.5305 Å, c = 8.9684 Å
α = 90.00°, β = 113.10°, γ = 90.00°
Closest atoms and distances in Å follow each position.
Fractional coordinates of all 28 atoms:
Bi 0.0125 0.1037 0.1321  5 O 2.11-2.18
Bi 0.0125 0.3963 0.6321  5 O 2.11-2.18
Bi 0.9875 0.6037 0.3679  5 O 2.11-2.18
Bi 0.9875 0.8963 0.8679  5 O 2.11-2.18
Sb 0.1045 0.6075 0.9216  5 O 1.95-2.10
Sb 0.1045 0.8925 0.4216  5 O 1.95-2.10
Sb 0.8955 0.1075 0.5784  5 O 1.95-2.10
Sb 0.8955 0.3925 0.0784  5 O 1.95-2.10
O 0.1243 0.5535 0.1393  2 Sb 1.99-2.10
O 0.1243 0.9465 0.6393  2 Sb 1.99-2.10
O 0.1815 0.0650 0.9652  2 Bi 2.11-2.13
O 0.1815 0.4350 0.4652  2 Bi 2.11-2.13
O 0.1854 0.2160 0.6976  1 Sb 1.98, 1 Bi 2.12
O 0.1854 0.2840 0.1976  1 Sb 1.98, 1 Bi 2.12
O 0.2878 0.5101 0.8202  1 Sb 1.95, 1 Bi 2.18
O 0.2878 0.9899 0.3202  1 Sb 1.95, 1 Bi 2.18
O 0.2955 0.7337 0.4812  1 Sb 1.97, 1 Bi 2.17
O 0.2955 0.7663 0.9812  1 Sb 1.97, 1 Bi 2.17
O 0.7045 0.2337 0.0188  1 Sb 1.97, 1 Bi 2.17
O 0.7045 0.2663 0.5188  1 Sb 1.97, 1 Bi 2.17
O 0.7122 0.0101 0.6798  1 Sb 1.95, 1 Bi 2.18
O 0.7122 0.4899 0.1798  1 Sb 1.95, 1 Bi 2.18
O 0.8146 0.7160 0.8024  1 Sb 1.98, 1 Bi 2.12
O 0.8146 0.7840 0.3024  1 Sb 1.98, 1 Bi 2.12
O 0.8185 0.5650 0.5348  2 Bi 2.11-2.13
O 0.8185 0.9350 0.0348  2 Bi 2.11-2.13
O 0.8757 0.0535 0.3607  2 Sb 1.99-2.10
O 0.8757 0.4465 0.8607  2 Sb 1.99-2.10

Summary:
- Excess energy over the best structure of this formula in the dataset: 0 meV per atom
- Magnetization: 0.000 μB per atom
- Space group: P2_1/c (14)
- ΔE_f: -1.303 eV per atom

Computed, not measured: crystalline Mg14AlW at its relaxed geometry at the PBE level of DFT.

a = 10.1391 Å, b = 6.2206 Å, c = 6.2206 Å
α = 59.12°, β = 90.00°, γ = 90.00°
Closest atoms and distances in Å follow each position.
Fractional coordinates of all 16 atoms:
Mg 0.0000 0.0000 0.0000  12 Mg 3.07-3.18
Mg 0.0000 0.0025 0.5000  12 Mg 3.05-3.22
Mg 0.0000 0.4991 0.4991  12 Mg 3.07-3.21
Mg 0.0000 0.5000 0.0025  12 Mg 3.05-3.22
Mg 0.2500 0.6648 0.6648  11 Mg 3.07-3.14, 1 Al 3.09
Mg 0.2584 0.1610 0.1610  1 W 2.99, 11 Mg 3.02-3.20
Mg 0.2627 0.1646 0.6737  1 W 2.98, 1 Al 3.01, 10 Mg 3.01-3.22
Mg 0.2627 0.6737 0.1646  1 W 2.98, 1 Al 3.01, 10 Mg 3.01-3.22
Mg 0.5000 0.4999 0.9993  8 Mg 3.03-3.10, 2 Al 3.08-3.14, 2 W 3.09-3.13
Mg 0.5000 0.9993 0.4999  8 Mg 3.03-3.10, 2 Al 3.08-3.14, 2 W 3.09-3.13
Mg 0.7373 0.1646 0.6737  1 W 2.98, 1 Al 3.01, 10 Mg 3.01-3.22
Mg 0.7373 0.6737 0.1646  1 W 2.98, 1 Al 3.01, 10 Mg 3.01-3.22
Mg 0.7416 0.1610 0.1610  1 W 2.99, 11 Mg 3.02-3.20
Mg 0.7500 0.6648 0.6648  11 Mg 3.07-3.14, 1 Al 3.09
Al 0.5000 0.5022 0.5022  10 Mg 3.01-3.14, 2 W 3.07
W 0.5000 0.0021 0.0021  10 Mg 2.98-3.13, 2 Al 3.07

Summary:
- Excess energy over the best structure of this formula in the dataset: 0 meV per atom
- Magnetization: 0.004 μB per atom
- Space group: Amm2 (38)
- ΔE_f: 0.135 eV per atom

Computed, not measured: crystalline Dy5Co2B6 at its relaxed geometry at the PBE level of DFT.

a = 8.3980 Å, b = 8.3980 Å, c = 8.3980 Å
α = 37.44°, β = 37.44°, γ = 37.44°
Closest atoms and distances in Å follow each position.
Fractional coordinates of all 13 atoms:
Dy 0.0000 0.0000 0.0000  2 Co 2.80
Dy 0.2508 0.2508 0.2508  6 B 2.67
Dy 0.4169 0.4169 0.4169  6 B 2.64
Dy 0.5831 0.5831 0.5831  6 B 2.64
Dy 0.7492 0.7492 0.7492  6 B 2.67
Co 0.1198 0.1198 0.1198  6 B 2.11
Co 0.8802 0.8802 0.8802  6 B 2.11
B 0.1685 0.5000 0.8315  3 B 1.79-1.82
B 0.1685 0.8315 0.5000  3 B 1.79-1.82
B 0.5000 0.1685 0.8315  3 B 1.79-1.82
B 0.5000 0.8315 0.1685  3 B 1.79-1.82
B 0.8315 0.1685 0.5000  3 B 1.79-1.82
B 0.8315 0.5000 0.1685  3 B 1.79-1.82

Summary:
- Magnetization: 0.000 μB per atom
- Space group: R-3m (166)
- ΔE_f: -0.532 eV per atom

Computed, not measured: crystalline CaBi4O8 at its relaxed geometry at the PBE level of DFT.

a = 6.9393 Å, b = 6.9393 Å, c = 6.9393 Å
α = 61.85°, β = 61.85°, γ = 61.85°
Closest atoms and distances in Å follow each position.
Fractional coordinates of all 13 atoms:
Ca 0.0000 0.0000 0.0000  6 O 2.50
Bi 0.0000 0.0000 0.5000  6 O 2.31-2.33
Bi 0.0000 0.5000 0.0000  6 O 2.31-2.33
Bi 0.5000 0.0000 0.0000  6 O 2.31-2.33
Bi 0.5000 0.5000 0.5000  6 O 2.50
O 0.2172 0.7489 0.7490  3 Bi 2.33-2.50, 1 Ca 2.50
O 0.2289 0.2289 0.2289  3 Bi 2.31
O 0.2510 0.2511 0.7828  3 Bi 2.33-2.50, 1 Ca 2.50
O 0.2510 0.7828 0.2510  3 Bi 2.33-2.50, 1 Ca 2.50
O 0.7490 0.2172 0.7490  3 Bi 2.33-2.50, 1 Ca 2.50
O 0.7490 0.7490 0.2172  3 Bi 2.33-2.50, 1 Ca 2.50
O 0.7711 0.7711 0.7711  3 Bi 2.31
O 0.7828 0.2510 0.2510  3 Bi 2.33-2.50, 1 Ca 2.50

Summary:
- Excess energy over the best structure of this formula in the dataset: 111 meV per atom
- Magnetization: 0.000 μB per atom
- Space group: R-3m (166)
- ΔE_f: -1.625 eV per atom